No. 1
Sm2InNi2: optimized geometry, meta-GGA r2SCAN. Values from VASP.

- magnetization (μB/cell) = 0.0
- symmetry = Cmmm
- energy of formation (meV/atom) = -506
- VASP energy (eV per atom) = -21.707

Geometry as Quantum ESPRESSO input:
```
&SYSTEM
  ibrav = 0, nat = 5, ntyp = 3
/
ATOMIC_SPECIES
Sm 150.36 Sm.upf
In 114.82 In.upf
Ni 58.69 Ni.upf
CELL_PARAMETERS angstrom
0.8729 3.6056 -0.7612
2.4462 0.0508 3.0456
4.1266 -2.2199 -5.7830
ATOMIC_POSITIONS crystal
Sm 0.5000 0.6366 0.2731
Sm 0.5000 0.3634 0.7269
In 0.0000 0.0000 0.0000
Ni 0.0000 0.7989 0.5978
Ni 0.0000 0.2011 0.4022
```



No. 2
SmIn2Ni9: optimized geometry, meta-GGA r2SCAN. Values from VASP.

- magnetization (μB/cell) = 6.5
- symmetry = P4/mbm
- energy of formation (meV/atom) = -200
- VASP energy (eV per atom) = -15.427

Geometry as Quantum ESPRESSO input:
```
&SYSTEM
  ibrav = 0, nat = 24, ntyp = 3
/
ATOMIC_SPECIES
Sm 150.36 Sm.upf
In 114.82 In.upf
Ni 58.69 Ni.upf
CELL_PARAMETERS angstrom
8.1715 0.0000 0.0000
0.0000 8.1715 0.0000
0.0000 0.0000 4.8463
ATOMIC_POSITIONS crystal
Sm 0.5000 0.5000 0.0000
Sm 0.0000 0.0000 0.0000
In 0.1243 0.6243 0.0000
In 0.8757 0.3757 0.0000
In 0.3757 0.1243 0.0000
In 0.6243 0.8757 0.0000
Ni 0.0000 0.5000 0.5000
Ni 0.5000 0.0000 0.5000
Ni 0.5652 0.7079 0.5000
Ni 0.4348 0.2921 0.5000
Ni 0.9348 0.2079 0.5000
Ni 0.0652 0.7921 0.5000
Ni 0.7079 0.4348 0.5000
Ni 0.2921 0.5652 0.5000
Ni 0.2079 0.0652 0.5000
Ni 0.7921 0.9348 0.5000
Ni 0.3236 0.8236 0.7473
Ni 0.6764 0.1764 0.7473
Ni 0.1764 0.3236 0.7473
Ni 0.8236 0.6764 0.7473
Ni 0.6764 0.1764 0.2527
Ni 0.3236 0.8236 0.2527
Ni 0.8236 0.6764 0.2527
Ni 0.1764 0.3236 0.2527
```



No. 3
Ti2InNi2: optimized geometry, meta-GGA r2SCAN. Values from VASP.

- magnetization (μB/cell) = 0.0
- symmetry = P4_2/mnm
- energy of formation (meV/atom) = -434
- VASP energy (eV per atom) = -14.917

Geometry as Quantum ESPRESSO input:
```
&SYSTEM
  ibrav = 0, nat = 20, ntyp = 3
/
ATOMIC_SPECIES
Ti 47.87 Ti.upf
In 114.82 In.upf
Ni 58.69 Ni.upf
CELL_PARAMETERS angstrom
6.8942 0.0000 0.0000
0.0000 6.8942 0.0000
0.0000 0.0000 6.2050
ATOMIC_POSITIONS crystal
Ti 0.1763 0.1763 0.0000
Ti 0.6763 0.3237 0.5000
Ti 0.3237 0.6763 0.5000
Ti 0.8237 0.8237 0.0000
Ti 0.6517 0.3483 0.0000
Ti 0.8483 0.8483 0.5000
Ti 0.1517 0.1517 0.5000
Ti 0.3483 0.6517 0.0000
In 0.5000 0.0000 0.2500
In 0.5000 0.0000 0.7500
In 0.0000 0.5000 0.2500
In 0.0000 0.5000 0.7500
Ni 0.3736 0.3736 0.2805
Ni 0.8736 0.1264 0.7805
Ni 0.1264 0.8736 0.7805
Ni 0.6264 0.6264 0.2805
Ni 0.1264 0.8736 0.2195
Ni 0.8736 0.1264 0.2195
Ni 0.3736 0.3736 0.7195
Ni 0.6264 0.6264 0.7195
```



No. 4
Tm2InNi2: optimized geometry, meta-GGA r2SCAN. Values from VASP.

- magnetization (μB/cell) = 0.0
- symmetry = Cmmm
- energy of formation (meV/atom) = -584
- VASP energy (eV per atom) = -23.940

Geometry as Quantum ESPRESSO input:
```
&SYSTEM
  ibrav = 0, nat = 5, ntyp = 3
/
ATOMIC_SPECIES
Tm 168.93 Tm.upf
In 114.82 In.upf
Ni 58.69 Ni.upf
CELL_PARAMETERS angstrom
0.6044 2.1561 6.9345
-3.5581 0.2376 -6.3549
-2.0313 -2.7570 1.0343
ATOMIC_POSITIONS crystal
Tm 0.3605 0.6395 0.5000
Tm 0.6395 0.3605 0.5000
In 0.0000 0.0000 0.0000
Ni 0.1989 0.8011 0.0000
Ni 0.8011 0.1989 0.0000
```



No. 5
TmInNi4: optimized geometry, meta-GGA r2SCAN. Values from VASP.

- magnetization (μB/cell) = 0.0
- symmetry = F-43m
- energy of formation (meV/atom) = -402
- VASP energy (eV per atom) = -18.006

Geometry as Quantum ESPRESSO input:
```
&SYSTEM
  ibrav = 0, nat = 6, ntyp = 3
/
ATOMIC_SPECIES
Tm 168.93 Tm.upf
In 114.82 In.upf
Ni 58.69 Ni.upf
CELL_PARAMETERS angstrom
-1.9201 -4.1044 1.8775
-4.4550 0.0912 2.0500
-3.7753 -2.1889 -2.2392
ATOMIC_POSITIONS crystal
Tm 0.7500 0.7500 0.7500
In 0.0000 0.0000 0.0000
Ni 0.3742 0.8775 0.3742
Ni 0.3742 0.3742 0.3742
Ni 0.8775 0.3742 0.3742
Ni 0.3742 0.3742 0.8775
```



No. 6
YIn2Ni: optimized geometry, meta-GGA r2SCAN. Values from VASP.

- magnetization (μB/cell) = 0.0
- symmetry = Cmcm
- energy of formation (meV/atom) = -531
- VASP energy (eV per atom) = -19.895

Geometry as Quantum ESPRESSO input:
```
&SYSTEM
  ibrav = 0, nat = 8, ntyp = 3
/
ATOMIC_SPECIES
Y 88.91 Y.upf
In 114.82 In.upf
Ni 58.69 Ni.upf
CELL_PARAMETERS angstrom
4.3331 0.0000 0.0000
-2.1666 5.2245 0.0000
0.0000 0.0000 7.2948
ATOMIC_POSITIONS crystal
Y 0.0683 0.1365 0.7500
Y 0.9317 0.8635 0.2500
In 0.3556 0.7112 0.9500
In 0.6444 0.2888 0.0500
In 0.6444 0.2888 0.4500
In 0.3556 0.7112 0.5500
Ni 0.7878 0.5755 0.7500
Ni 0.2122 0.4245 0.2500
```



> Which value of magnetization does entry 1 give?

0.0 μB/cell



Please write out number 2 again, unchanged.
SmIn2Ni9: optimized geometry, meta-GGA r2SCAN. Values from VASP.

- magnetization (μB/cell) = 6.5
- symmetry = P4/mbm
- energy of formation (meV/atom) = -200
- VASP energy (eV per atom) = -15.427

Geometry as Quantum ESPRESSO input:
```
&SYSTEM
  ibrav = 0, nat = 24, ntyp = 3
/
ATOMIC_SPECIES
Sm 150.36 Sm.upf
In 114.82 In.upf
Ni 58.69 Ni.upf
CELL_PARAMETERS angstrom
8.1715 0.0000 0.0000
0.0000 8.1715 0.0000
0.0000 0.0000 4.8463
ATOMIC_POSITIONS crystal
Sm 0.5000 0.5000 0.0000
Sm 0.0000 0.0000 0.0000
In 0.1243 0.6243 0.0000
In 0.8757 0.3757 0.0000
In 0.3757 0.1243 0.0000
In 0.6243 0.8757 0.0000
Ni 0.0000 0.5000 0.5000
Ni 0.5000 0.0000 0.5000
Ni 0.5652 0.7079 0.5000
Ni 0.4348 0.2921 0.5000
Ni 0.9348 0.2079 0.5000
Ni 0.0652 0.7921 0.5000
Ni 0.7079 0.4348 0.5000
Ni 0.2921 0.5652 0.5000
Ni 0.2079 0.0652 0.5000
Ni 0.7921 0.9348 0.5000
Ni 0.3236 0.8236 0.7473
Ni 0.6764 0.1764 0.7473
Ni 0.1764 0.3236 0.7473
Ni 0.8236 0.6764 0.7473
Ni 0.6764 0.1764 0.2527
Ni 0.3236 0.8236 0.2527
Ni 0.8236 0.6764 0.2527
Ni 0.1764 0.3236 0.2527
```



> What is the formula in the first record?

Sm2InNi2